1.
A plane-wave DFT calculation with PBE+U was carried out for an optimized crystal structure of LaCrO3.

The space group is R-3c (No. 167, hexagonal axes) and the conventional cell measures 5.6124, 5.6124 and 13.4217 Å, with angles of 90.00, 90.00 and 120.00 degrees. Symmetry generates all atoms from La at (0.0000, 0.0000, 0.2500), Cr at (0.0000, 0.0000, 0.0000) and O at (0.0000, 0.4270, 0.2500).

The calculation puts the volume at 12.20 A^3/atom.

---

2.
A plane-wave DFT calculation with PBE+U was carried out for an optimized crystal structure of LaCrO3.

The space group is Pnma (No. 62) and the conventional cell measures 5.608, 7.879 and 5.561 Å, with angles of 90.00, 90.00 and 90.00 degrees. Symmetry generates all atoms from La at (0.037, 0.250, 0.008), Cr at (0.000, 0.000, 0.500), O at (0.019, 0.750, 0.420) and O at (0.212, 0.542, 0.788).

The calculation puts the volume at 12.29 A^3/atom.

---

no.,E_form (kJ/mol of formula units)
1,-1538.6
2,-1542.1